(1)
19
Lattice="4.944 0.000 0.000 -0.813 7.306 0.000 -1.108 -2.949 6.721" Properties=species:S:1:pos:R:3 comment="LiAl2H4Pb2O4F6 PBE optimized geometry" e_tot_ev_per_atom=-5.39 e_above_lowest_polymorph_ev_per_fu=0.088 total_magnetization_mub_per_cell=0.83 formation_enthalpy_0k_kj_per_mol_fu=-4457.7 pbc="T T T"
Li 0.000 0.000 0.000
Al 1.129 1.290 2.233
Al 1.965 2.977 4.501
H -0.208 1.617 4.427
H -0.155 4.281 4.202
H 3.237 -0.038 2.546
H 3.291 2.652 2.302
Pb 1.083 4.879 1.638
Pb 1.920 -0.604 5.096
O 0.728 1.576 4.099
O 0.801 4.428 3.973
O 2.276 -0.170 2.759
O 2.356 2.691 2.634
F -0.171 0.026 1.952
F -0.113 2.578 1.717
F 1.576 1.085 0.487
F 1.511 3.188 6.245
F 3.196 1.682 5.012
F 3.259 4.242 4.779

***

(2)
19
Lattice="4.824 0.000 0.000 -0.187 7.215 0.000 -1.468 -2.734 6.811" Properties=species:S:1:pos:R:3 comment="LiAl2H4Pb2O4F6 PBE optimized geometry" e_tot_ev_per_atom=-5.39 e_above_lowest_polymorph_ev_per_fu=0.000 total_magnetization_mub_per_cell=0.02 formation_enthalpy_0k_kj_per_mol_fu=-4466.1 pbc="T T T"
Li 0.000 0.000 0.000
Al 0.903 3.178 4.900
Al 1.700 1.445 2.619
H -0.481 2.788 2.706
H -0.288 0.006 2.980
H 2.864 4.633 4.465
H 3.076 1.826 4.834
Pb 0.994 -0.392 5.539
Pb 1.652 5.121 1.988
O 0.430 2.815 3.092
O 0.673 -0.065 3.218
O 1.894 4.709 4.303
O 2.163 1.807 4.460
F -0.478 4.371 5.242
F -0.214 1.901 5.622
F 0.996 1.203 0.959
F 1.650 3.447 6.546
F 2.823 2.740 1.960
F 3.031 0.214 2.376

***

(3)
19
Lattice="5.085 0.000 0.000 -1.465 6.254 0.000 -0.655 -2.576 7.109" Properties=species:S:1:pos:R:3 comment="LiAl2H4Pb2O4F6 PBE optimized geometry" e_tot_ev_per_atom=-5.39 e_above_lowest_polymorph_ev_per_fu=0.053 total_magnetization_mub_per_cell=1.00 formation_enthalpy_0k_kj_per_mol_fu=-4461.0 pbc="T T T"
Li 0.000 0.000 0.000
Al -0.228 3.925 1.111
Al 3.194 -0.246 5.998
H 0.010 0.065 4.507
H 1.061 2.105 0.067
H 1.905 1.573 7.042
H 2.956 3.613 2.602
Pb 0.268 2.861 4.476
Pb 2.698 0.817 2.633
O -0.826 0.567 4.637
O 0.106 2.235 0.291
O 2.860 1.443 6.818
O 3.792 3.111 2.472
F -0.800 5.614 1.631
F 0.313 2.164 7.060
F 1.150 3.967 2.332
F 1.816 -0.289 4.777
F 2.653 1.515 0.049
F 3.766 -1.936 5.478

***

(4)
26
Lattice="-3.598 5.208 3.314 3.598 -5.208 3.314 3.598 5.208 -3.314" Properties=species:S:1:pos:R:3 comment="MgAlH4O2F5 PBE optimized geometry" e_tot_ev_per_atom=-5.32 total_magnetization_mub_per_cell=0.00 formation_enthalpy_0k_kj_per_mol_fu=-3331.0 pbc="T T T"
Mg 0.000 0.000 0.000
Mg 0.000 5.208 0.000
Al -1.799 2.604 1.657
Al 1.799 2.604 1.657
H 2.820 -1.004 0.825
H 4.377 -1.004 0.825
H 2.820 4.204 -0.825
H 0.778 -1.004 2.488
H 2.820 6.211 0.825
H 0.778 1.004 4.139
H -0.778 6.211 2.488
H 0.778 6.211 2.488
O 3.598 -0.801 1.388
O 3.598 4.407 -1.388
O 0.000 0.801 4.702
O 0.000 6.008 1.925
F 1.484 1.313 0.412
F 5.713 1.313 0.412
F 3.598 2.604 1.187
F 1.484 3.895 0.412
F 2.114 -1.313 3.725
F 1.484 6.520 -0.412
F 2.114 1.313 2.902
F 0.000 2.604 2.127
F -2.114 3.895 2.902
F 2.114 3.895 2.902

***

(5)
12
Lattice="5.124 -1.890 0.000 5.124 1.890 0.000 -4.993 0.000 5.372" Properties=species:S:1:pos:R:3 comment="AlH6N2F3 PBE optimized geometry" e_tot_ev_per_atom=-5.32 total_magnetization_mub_per_cell=0.00 formation_enthalpy_0k_kj_per_mol_fu=-1805.3 pbc="T T T"
Al 0.000 0.000 0.000
H 2.068 0.807 1.349
H 1.088 0.000 2.389
H 3.187 0.807 4.023
H 2.068 -0.807 1.349
H 4.166 0.000 2.982
H 3.187 -0.807 4.023
N 1.435 0.000 1.428
N 3.819 0.000 3.943
F -3.710 0.000 4.115
F 5.124 0.000 0.000
F 8.964 0.000 1.256

***

(6)
44
Lattice="9.063 0.000 0.000 0.000 4.531 4.447 0.000 -4.531 4.447" Properties=species:S:1:pos:R:3 comment="AlH12N3F6 PBE optimized geometry" e_tot_ev_per_atom=-5.05 total_magnetization_mub_per_cell=0.00 formation_enthalpy_0k_kj_per_mol_fu=-3176.1 pbc="T T T"
Al 0.000 0.000 0.000
Al 4.532 0.000 4.447
H 0.575 0.575 3.825
H 0.596 -0.596 5.023
H 1.626 -2.816 2.817
H 1.646 -2.818 6.063
H 1.708 2.892 6.035
H 1.727 2.896 2.853
H 2.804 -1.635 2.853
H 2.824 -1.639 6.035
H 2.886 1.713 6.063
H 2.906 1.715 2.817
H 3.936 3.935 5.023
H 3.956 0.575 8.272
H 5.107 -0.575 8.272
H 5.127 -3.935 5.023
H 6.158 -1.715 2.817
H 6.177 -1.713 6.063
H 6.239 1.639 6.035
H 6.259 1.635 2.853
H 7.336 -2.896 2.853
H 7.356 -2.892 6.035
H 7.418 2.818 6.063
H 7.438 2.816 2.817
H 8.468 0.596 5.023
H 8.488 -0.575 3.825
N 0.000 0.000 4.440
N 2.259 -2.252 2.220
N 2.273 -2.252 6.666
N 4.532 0.000 8.887
N 6.791 2.252 6.666
N 6.804 2.252 2.220
F 0.000 0.000 1.827
F 0.000 0.000 7.069
F 0.568 -2.785 4.451
F 1.747 3.963 4.448
F 2.785 -0.568 4.448
F 3.964 1.746 4.451
F 4.532 0.000 2.623
F 4.532 0.000 6.274
F 5.099 -1.746 4.451
F 6.279 0.568 4.448
F 7.317 -3.963 4.448
F 8.496 2.785 4.451

***

(7)
112
Lattice="9.068 0.000 0.000 0.000 9.236 0.000 0.000 0.000 10.623" Properties=species:S:1:pos:R:3 comment="AlH15N6F6 PBE optimized geometry" e_tot_ev_per_atom=-5.16 total_magnetization_mub_per_cell=0.00 formation_enthalpy_0k_kj_per_mol_fu=-2990.6 pbc="T T T"
Al 0.401 0.125 4.777
Al 4.133 9.111 10.088
Al 4.935 4.493 5.847
Al 8.667 4.743 0.535
H 0.012 1.678 10.595
H 0.476 4.567 3.984
H 0.488 3.497 5.299
H 0.930 5.763 7.873
H 1.035 0.414 10.095
H 1.073 3.075 8.483
H 1.432 1.609 2.592
H 1.431 6.692 9.170
H 1.473 7.056 1.342
H 1.641 7.530 2.983
H 1.668 7.796 7.041
H 1.712 4.650 5.163
H 1.755 1.190 7.099
H 1.774 2.723 1.345
H 2.232 3.933 7.725
H 2.302 5.303 2.414
H 2.760 6.514 6.657
H 2.780 8.047 1.787
H 2.822 4.586 10.475
H 2.866 1.441 1.730
H 2.894 1.707 8.295
H 3.061 2.180 6.654
H 3.103 2.544 3.859
H 3.102 7.627 7.904
H 3.461 6.161 3.171
H 3.499 8.822 4.783
H 3.604 3.473 2.561
H 4.046 5.739 10.610
H 4.058 4.669 9.295
H 4.522 7.558 5.283
H 4.546 2.940 0.029
H 5.010 0.051 6.640
H 5.022 1.121 5.325
H 5.464 8.092 2.750
H 5.569 4.204 0.529
H 5.607 1.543 2.141
H 5.967 3.009 8.031
H 5.965 7.162 1.453
H 6.007 6.799 9.281
H 6.175 6.325 7.640
H 6.202 6.059 3.582
H 6.247 9.204 5.460
H 6.289 3.429 3.525
H 6.308 1.895 9.279
H 6.766 0.685 2.898
H 6.836 8.551 8.210
H 7.294 7.341 3.967
H 7.314 5.808 8.837
H 7.356 0.032 0.148
H 7.400 3.177 8.894
H 7.428 2.911 2.329
H 7.595 2.438 3.969
H 7.637 2.074 6.765
H 7.636 6.227 2.719
H 7.996 7.693 7.452
H 8.033 5.032 5.840
H 8.138 1.145 8.062
H 8.580 8.115 0.013
H 8.592 9.185 1.328
H 9.056 6.297 5.340
N 0.067 0.774 10.107
N 0.694 4.473 5.002
N 1.569 3.160 7.590
N 1.751 6.157 8.354
N 2.159 7.268 2.104
N 2.188 2.145 2.114
N 2.346 7.091 7.425
N 2.375 1.968 7.416
N 2.783 3.079 3.043
N 2.965 6.076 2.278
N 3.840 4.764 10.314
N 4.467 8.462 4.795
N 4.601 3.844 0.517
N 5.228 0.145 5.621
N 6.103 1.458 3.033
N 6.285 7.697 2.269
N 6.693 6.586 8.520
N 6.723 2.473 8.510
N 6.880 6.764 3.198
N 6.909 2.650 3.208
N 7.317 1.539 7.581
N 7.499 7.779 8.345
N 8.374 9.091 0.310
N 9.002 5.392 5.828
F 0.157 0.365 2.941
F 0.273 6.438 0.273
F 0.676 9.134 6.595
F 1.004 7.650 4.475
F 1.296 4.027 0.360
F 2.086 0.761 4.627
F 2.448 8.475 9.939
F 3.238 5.209 5.672
F 3.530 1.586 9.786
F 3.858 0.102 1.283
F 4.261 2.799 5.584
F 4.378 8.871 8.253
F 4.691 4.253 7.683
F 4.807 7.417 10.351
F 5.210 4.720 4.028
F 5.538 6.204 6.149
F 5.830 0.591 10.263
F 6.620 3.857 5.996
F 6.982 5.379 0.685
F 7.772 8.645 4.952
F 8.064 3.032 0.837
F 8.392 4.516 9.340
F 8.795 1.820 5.039
F 8.912 4.983 2.371

***

(8)
98
Lattice="9.457 0.000 0.000 0.025 9.670 0.000 0.008 0.013 9.956" Properties=species:S:1:pos:R:3 comment="Al8P8H34N7O36F5 PBE optimized geometry" e_tot_ev_per_atom=-6.17 e_above_lowest_polymorph_ev_per_fu=0.911 total_magnetization_mub_per_cell=0.00 formation_enthalpy_0k_kj_per_mol_fu=-19014.4 pbc="T T T"
Al 0.000 0.000 0.000
Al 0.480 2.066 5.319
Al 2.442 6.914 3.138
Al 2.918 4.833 8.474
Al 4.725 4.370 3.484
Al 5.213 2.316 8.111
Al 7.141 7.099 0.348
Al 7.666 9.224 4.958
P 0.688 9.588 3.124
P 0.726 6.628 0.334
P 2.188 1.798 8.142
P 2.203 4.767 5.344
P 5.443 4.435 0.368
P 5.470 7.447 3.162
P 6.905 2.593 5.271
P 6.954 9.306 8.124
H 0.078 4.269 8.641
H 0.381 7.434 6.312
H 0.927 8.359 7.612
H 1.021 2.292 1.457
H 1.341 3.657 2.416
H 1.585 8.496 6.052
H 1.914 7.142 7.030
H 1.996 3.509 0.855
H 2.553 2.602 2.168
H 2.856 9.108 9.786
H 3.153 9.648 4.477
H 3.422 5.217 1.675
H 3.667 0.841 5.850
H 3.744 7.759 9.282
H 3.902 1.476 4.285
H 3.970 8.382 0.889
H 4.216 4.010 6.639
H 4.513 9.258 9.467
H 4.787 0.117 4.794
H 5.107 6.631 7.126
H 5.650 5.706 5.823
H 6.112 0.728 1.133
H 6.306 5.564 7.384
H 6.642 6.915 6.406
H 6.655 1.027 2.717
H 7.308 1.738 1.333
H 7.568 4.961 3.664
H 7.869 4.425 8.954
H 8.409 3.558 7.579
H 8.464 6.303 4.167
H 8.626 2.929 9.137
H 8.696 5.670 2.609
H 8.934 0.398 6.809
H 9.231 4.802 3.983
N 1.213 7.858 6.766
N 1.716 3.015 1.706
N 3.779 8.632 9.860
N 3.867 0.599 4.869
N 5.938 6.206 6.673
N 8.496 5.429 3.591
N 8.607 3.798 8.563
O 0.780 7.988 9.540
O 0.926 0.061 1.612
O 1.001 1.304 3.773
O 1.238 3.726 4.714
O 1.351 6.741 1.729
O 1.412 5.549 9.451
O 1.473 0.724 8.980
O 1.575 1.913 6.736
O 1.675 8.554 3.737
O 1.907 6.146 4.683
O 1.932 4.904 6.850
O 2.127 3.143 8.891
O 3.295 5.291 2.655
O 3.666 1.337 7.937
O 3.694 4.390 5.111
O 3.954 4.826 0.115
O 3.987 7.887 2.929
O 4.354 3.929 7.621
O 5.528 6.095 3.891
O 5.716 4.350 1.869
O 5.759 3.079 9.655
O 5.974 0.668 8.787
O 6.099 7.374 1.753
O 6.149 8.536 4.009
O 6.209 3.708 4.488
O 6.293 2.413 6.675
O 6.412 5.492 9.673
O 6.468 1.380 1.777
O 6.651 7.927 8.780
O 6.688 9.178 6.617
O 6.856 1.268 4.461
O 8.387 3.037 5.507
O 8.418 0.038 8.363
O 8.680 9.219 3.398
O 8.697 6.200 0.570
O 9.058 0.464 5.827
F 3.526 6.550 8.092
F 4.039 2.695 3.151
F 8.044 8.740 0.758
F 8.252 7.504 5.377
F 8.694 1.675 0.455

***

> Number 5 is which compound?

AlH6N2F3